The following is a DFT calculation (r²SCAN) of an optimized crystal structure of CrAsO4.

Geometry as CIF:
```
data_CrAsO4
_chemical_formula_sum 'Cr6 As6 O24'
_cell_length_a 9.126
_cell_length_b 9.126
_cell_length_c 9.126
_cell_angle_alpha 109.06
_cell_angle_beta 85.83
_cell_angle_gamma 138.26
_space_group_name_H-M_alt 'P 1'
_space_group_IT_number 1
loop_
_space_group_symop_operation_xyz
'x,y,z'
loop_
_atom_site_label
_atom_site_type_symbol
_atom_site_fract_x
_atom_site_fract_y
_atom_site_fract_z
_atom_site_occupancy
Cr1 Cr 0.000 0.000 0.000 1
Cr2 Cr 0.386 0.000 0.886 1
Cr3 Cr 0.386 0.500 0.386 1
Cr4 Cr 0.500 0.000 0.500 1
Cr5 Cr 0.614 0.000 0.114 1
Cr6 Cr 0.614 0.500 0.614 1
As1 As 0.176 0.000 0.676 1
As2 As 0.176 0.500 0.176 1
As3 As 0.309 0.059 0.250 1
As4 As 0.691 0.941 0.750 1
As5 As 0.824 0.000 0.324 1
As6 As 0.824 0.500 0.824 1
O1 O 0.066 0.922 0.143 1
O2 O 0.097 0.242 0.428 1
O3 O 0.097 0.669 0.855 1
O4 O 0.226 0.072 0.884 1
O5 O 0.226 0.343 0.154 1
O6 O 0.279 0.922 0.357 1
O7 O 0.311 0.657 0.384 1
O8 O 0.311 0.928 0.654 1
O9 O 0.314 0.242 0.645 1
O10 O 0.314 0.669 0.072 1
O11 O 0.469 0.089 0.121 1
O12 O 0.469 0.348 0.379 1
O13 O 0.531 0.652 0.621 1
O14 O 0.531 0.911 0.879 1
O15 O 0.686 0.331 0.928 1
O16 O 0.686 0.758 0.355 1
O17 O 0.689 0.072 0.346 1
O18 O 0.689 0.343 0.616 1
O19 O 0.721 0.078 0.643 1
O20 O 0.774 0.657 0.846 1
O21 O 0.774 0.928 0.116 1
O22 O 0.903 0.331 0.145 1
O23 O 0.903 0.758 0.572 1
O24 O 0.934 0.078 0.857 1
```

Values from the calculation:
Theoretical density = 4.1 g/cm3
Calculated volume = 12.79 Å³ per atom
Calculated formation energy = -1.771 eV/atom

***

The following is a DFT calculation (r²SCAN) of an optimized crystal structure of Rb3FeS3.

Geometry as CIF:
```
data_Rb3FeS3
_chemical_formula_sum 'Rb12 Fe4 S12'
_cell_length_a 10.202
_cell_length_b 10.202
_cell_length_c 13.054
_cell_angle_alpha 90.00
_cell_angle_beta 90.00
_cell_angle_gamma 39.87
_space_group_name_H-M_alt 'P 1'
_space_group_IT_number 1
loop_
_space_group_symop_operation_xyz
'x,y,z'
loop_
_atom_site_label
_atom_site_type_symbol
_atom_site_fract_x
_atom_site_fract_y
_atom_site_fract_z
_atom_site_occupancy
Rb1 Rb 0.026 0.328 0.871 1
Rb2 Rb 0.143 0.857 0.828 1
Rb3 Rb 0.172 0.474 0.629 1
Rb4 Rb 0.328 0.026 0.129 1
Rb5 Rb 0.357 0.643 0.328 1
Rb6 Rb 0.474 0.172 0.371 1
Rb7 Rb 0.526 0.828 0.629 1
Rb8 Rb 0.643 0.357 0.672 1
Rb9 Rb 0.672 0.974 0.871 1
Rb10 Rb 0.828 0.526 0.371 1
Rb11 Rb 0.857 0.143 0.172 1
Rb12 Rb 0.974 0.672 0.129 1
Fe1 Fe 0.083 0.083 0.500 1
Fe2 Fe 0.417 0.417 0.000 1
Fe3 Fe 0.583 0.583 0.000 1
Fe4 Fe 0.917 0.917 0.500 1
S1 S 0.003 0.699 0.384 1
S2 S 0.199 0.503 0.884 1
S3 S 0.205 0.795 0.575 1
S4 S 0.295 0.705 0.075 1
S5 S 0.301 0.997 0.384 1
S6 S 0.497 0.801 0.884 1
S7 S 0.503 0.199 0.116 1
S8 S 0.699 0.003 0.616 1
S9 S 0.705 0.295 0.925 1
S10 S 0.795 0.205 0.425 1
S11 S 0.801 0.497 0.116 1
S12 S 0.997 0.301 0.616 1
```

Values from the calculation:
Theoretical density = 3.1 g/cm3
Calculated volume = 31.10 Å³ per atom
Excess energy over the best structure of this formula in the dataset = 0.0 kJ per mole of atoms
Calculated formation energy = -1.142 eV/atom

***

The following is a DFT calculation (r²SCAN) of an optimized crystal structure of HoAgHg2.

Geometry as CIF:
```
data_HoAgHg2
_chemical_formula_sum 'Ho4 Ag4 Hg8'
_cell_length_a 7.012
_cell_length_b 7.012
_cell_length_c 7.012
_cell_angle_alpha 90.00
_cell_angle_beta 90.00
_cell_angle_gamma 90.00
_space_group_name_H-M_alt 'P 1'
_space_group_IT_number 1
loop_
_space_group_symop_operation_xyz
'x,y,z'
loop_
_atom_site_label
_atom_site_type_symbol
_atom_site_fract_x
_atom_site_fract_y
_atom_site_fract_z
_atom_site_occupancy
Ho1 Ho 0.000 0.000 0.000 1
Ho2 Ho 0.000 0.500 0.500 1
Ho3 Ho 0.500 0.000 0.500 1
Ho4 Ho 0.500 0.500 0.000 1
Ag1 Ag 0.000 0.000 0.500 1
Ag2 Ag 0.000 0.500 0.000 1
Ag3 Ag 0.500 0.000 0.000 1
Ag4 Ag 0.500 0.500 0.500 1
Hg1 Hg 0.250 0.250 0.250 1
Hg2 Hg 0.250 0.250 0.750 1
Hg3 Hg 0.250 0.750 0.250 1
Hg4 Hg 0.250 0.750 0.750 1
Hg5 Hg 0.750 0.250 0.250 1
Hg6 Hg 0.750 0.250 0.750 1
Hg7 Hg 0.750 0.750 0.250 1
Hg8 Hg 0.750 0.750 0.750 1
```

Values from the calculation:
Theoretical density = 13.0 g/cm3
Calculated volume = 21.55 Å³ per atom
Calculated formation energy = -0.376 eV/atom

***

The following is a DFT calculation (r²SCAN) of an optimized crystal structure of KFeCl4.

Geometry as CIF:
```
data_KFeCl4
_chemical_formula_sum 'K4 Fe4 Cl16'
_cell_length_a 7.354
_cell_length_b 10.371
_cell_length_c 9.266
_cell_angle_alpha 90.00
_cell_angle_beta 94.55
_cell_angle_gamma 90.00
_space_group_name_H-M_alt 'P 1'
_space_group_IT_number 1
loop_
_space_group_symop_operation_xyz
'x,y,z'
loop_
_atom_site_label
_atom_site_type_symbol
_atom_site_fract_x
_atom_site_fract_y
_atom_site_fract_z
_atom_site_occupancy
K1 K 0.072 0.000 0.055 1
K2 K 0.422 0.390 0.450 1
K3 K 0.578 0.890 0.550 1
K4 K 0.928 0.500 0.945 1
Fe1 Fe 0.008 0.647 0.434 1
Fe2 Fe 0.490 0.745 0.066 1
Fe3 Fe 0.510 0.245 0.934 1
Fe4 Fe 0.992 0.147 0.566 1
Cl1 Cl 0.032 0.480 0.291 1
Cl2 Cl 0.066 0.324 0.686 1
Cl3 Cl 0.207 0.114 0.417 1
Cl4 Cl 0.223 0.726 0.942 1
Cl5 Cl 0.276 0.668 0.556 1
Cl6 Cl 0.291 0.275 0.079 1
Cl7 Cl 0.444 0.070 0.807 1
Cl8 Cl 0.465 0.915 0.205 1
Cl9 Cl 0.535 0.415 0.795 1
Cl10 Cl 0.556 0.570 0.193 1
Cl11 Cl 0.709 0.775 0.921 1
Cl12 Cl 0.724 0.168 0.444 1
Cl13 Cl 0.777 0.226 0.058 1
Cl14 Cl 0.793 0.614 0.583 1
Cl15 Cl 0.934 0.824 0.314 1
Cl16 Cl 0.968 0.980 0.709 1
```

Values from the calculation:
Theoretical density = 2.2 g/cm3
Calculated volume = 29.35 Å³ per atom
Calculated formation energy = -1.462 eV/atom

***

The following is a DFT calculation (r²SCAN) of an optimized crystal structure of PaNi3.

Geometry as CIF:
```
data_PaNi3
_chemical_formula_sum 'Pa2 Ni6'
_cell_length_a 5.266
_cell_length_b 5.266
_cell_length_c 4.718
_cell_angle_alpha 90.00
_cell_angle_beta 90.00
_cell_angle_gamma 120.00
_space_group_name_H-M_alt 'P 1'
_space_group_IT_number 1
loop_
_space_group_symop_operation_xyz
'x,y,z'
loop_
_atom_site_label
_atom_site_type_symbol
_atom_site_fract_x
_atom_site_fract_y
_atom_site_fract_z
_atom_site_occupancy
Pa1 Pa 0.333 0.667 0.250 1
Pa2 Pa 0.667 0.333 0.750 1
Ni1 Ni 0.159 0.318 0.750 1
Ni2 Ni 0.159 0.841 0.750 1
Ni3 Ni 0.318 0.159 0.250 1
Ni4 Ni 0.682 0.841 0.750 1
Ni5 Ni 0.841 0.159 0.250 1
Ni6 Ni 0.841 0.682 0.250 1
```

Values from the calculation:
Theoretical density = 11.9 g/cm3
Calculated volume = 14.17 Å³ per atom
Calculated formation energy = -0.374 eV/atom

***

The following is a DFT calculation (r²SCAN) of an optimized crystal structure of Li3FeO4.

Geometry as CIF:
```
data_Li3FeO4
_chemical_formula_sum 'Li12 Fe4 O16'
_cell_length_a 6.947
_cell_length_b 6.947
_cell_length_c 6.947
_cell_angle_alpha 109.47
_cell_angle_beta 109.47
_cell_angle_gamma 109.47
_space_group_name_H-M_alt 'P 1'
_space_group_IT_number 1
loop_
_space_group_symop_operation_xyz
'x,y,z'
loop_
_atom_site_label
_atom_site_type_symbol
_atom_site_fract_x
_atom_site_fract_y
_atom_site_fract_z
_atom_site_occupancy
Li1 Li 0.000 0.493 0.747 1
Li2 Li 0.000 0.747 0.493 1
Li3 Li 0.253 0.253 0.746 1
Li4 Li 0.253 0.746 0.253 1
Li5 Li 0.254 0.507 0.507 1
Li6 Li 0.493 0.000 0.747 1
Li7 Li 0.493 0.747 0.000 1
Li8 Li 0.507 0.254 0.507 1
Li9 Li 0.507 0.507 0.254 1
Li10 Li 0.746 0.253 0.253 1
Li11 Li 0.747 0.000 0.493 1
Li12 Li 0.747 0.493 0.000 1
Fe1 Fe 0.000 0.000 0.267 1
Fe2 Fe 0.000 0.267 0.000 1
Fe3 Fe 0.267 0.000 0.000 1
Fe4 Fe 0.733 0.733 0.733 1
O1 O 0.000 0.000 0.775 1
O2 O 0.000 0.229 0.474 1
O3 O 0.000 0.474 0.229 1
O4 O 0.000 0.775 0.000 1
O5 O 0.225 0.225 0.225 1
O6 O 0.229 0.000 0.474 1
O7 O 0.229 0.474 0.000 1
O8 O 0.245 0.771 0.771 1
O9 O 0.474 0.000 0.229 1
O10 O 0.474 0.229 0.000 1
O11 O 0.526 0.526 0.755 1
O12 O 0.526 0.755 0.526 1
O13 O 0.755 0.526 0.526 1
O14 O 0.771 0.245 0.771 1
O15 O 0.771 0.771 0.245 1
O16 O 0.775 0.000 0.000 1
```

Values from the calculation:
Theoretical density = 3.6 g/cm3
Calculated volume = 8.07 Å³ per atom
Calculated formation energy = -1.906 eV/atom

***

The following is a DFT calculation (r²SCAN) of an optimized crystal structure of Ta2Se.

Geometry as CIF:
```
data_Ta2Se
_chemical_formula_sum 'Ta4 Se2'
_cell_length_a 3.383
_cell_length_b 3.383
_cell_length_c 10.237
_cell_angle_alpha 90.00
_cell_angle_beta 90.00
_cell_angle_gamma 90.00
_space_group_name_H-M_alt 'P 1'
_space_group_IT_number 1
loop_
_space_group_symop_operation_xyz
'x,y,z'
loop_
_atom_site_label
_atom_site_type_symbol
_atom_site_fract_x
_atom_site_fract_y
_atom_site_fract_z
_atom_site_occupancy
Ta1 Ta 0.250 0.250 0.074 1
Ta2 Ta 0.250 0.250 0.767 1
Ta3 Ta 0.750 0.750 0.233 1
Ta4 Ta 0.750 0.750 0.926 1
Se1 Se 0.250 0.250 0.352 1
Se2 Se 0.750 0.750 0.648 1
```

Values from the calculation:
Theoretical density = 12.5 g/cm3
Calculated volume = 19.52 Å³ per atom
Calculated formation energy = -0.512 eV/atom

***

The following is a DFT calculation (r²SCAN) of an optimized crystal structure of Lu2CCl2.

Geometry as CIF:
```
data_Lu2CCl2
_chemical_formula_sum 'Lu6 C3 Cl6'
_cell_length_a 3.587
_cell_length_b 3.587
_cell_length_c 27.458
_cell_angle_alpha 90.00
_cell_angle_beta 90.00
_cell_angle_gamma 120.00
_space_group_name_H-M_alt 'P 1'
_space_group_IT_number 1
loop_
_space_group_symop_operation_xyz
'x,y,z'
loop_
_atom_site_label
_atom_site_type_symbol
_atom_site_fract_x
_atom_site_fract_y
_atom_site_fract_z
_atom_site_occupancy
Lu1 Lu 0.000 0.000 0.120 1
Lu2 Lu 0.000 0.000 0.880 1
Lu3 Lu 0.333 0.667 0.547 1
Lu4 Lu 0.333 0.667 0.786 1
Lu5 Lu 0.667 0.333 0.214 1
Lu6 Lu 0.667 0.333 0.453 1
C1 C 0.000 0.000 0.500 1
C2 C 0.333 0.667 0.167 1
C3 C 0.667 0.333 0.833 1
Cl1 Cl 0.000 0.000 0.276 1
Cl2 Cl 0.000 0.000 0.724 1
Cl3 Cl 0.333 0.667 0.390 1
Cl4 Cl 0.333 0.667 0.943 1
Cl5 Cl 0.667 0.333 0.057 1
Cl6 Cl 0.667 0.333 0.610 1
```

Values from the calculation:
Theoretical density = 7.0 g/cm3
Calculated volume = 20.40 Å³ per atom
Calculated formation energy = -1.833 eV/atom

***

Energy for the records above, in order: -10.716 -12.614 -38.619 -8.969 -28.574 -7.589 -37.677 -21.515 eV/atom